No. 1
Crystalline ZnC4N2O6 at its relaxed geometry, computed with GGA-PBE.

The formation energy comes out at -1.1453 eV per atom. Its uncorrected energy is -381.21 eV/cell. As for the magnetization: 0.00 μB/cell. The value obtained for the MP2020-corrected energy is -7.65 eV per atom.

```
data_ZnC4N2O6
_chemical_formula_sum 'Zn4 C16 N8 O24'
_symmetry_space_group_name_H-M 'P 1'
_symmetry_Int_Tables_number 1
_cell_length_a 9.018
_cell_length_b 13.291
_cell_length_c 8.505
_cell_angle_alpha 90.00
_cell_angle_beta 90.00
_cell_angle_gamma 90.00
loop_
_symmetry_equiv_pos_as_xyz
'x,y,z'
loop_
_atom_site_label
_atom_site_fract_x
_atom_site_fract_y
_atom_site_fract_z
Zn1 0.014 0.241 0.000
Zn2 0.486 0.741 0.500
Zn3 0.514 0.259 0.500
Zn4 0.986 0.759 0.000
C1 0.000 0.000 0.147
C2 0.000 0.000 0.522
C3 0.000 0.500 0.521
C4 0.000 0.500 0.910
C5 0.231 0.695 0.274
C6 0.243 0.804 0.768
C7 0.257 0.304 0.268
C8 0.269 0.195 0.774
C9 0.500 0.000 0.021
C10 0.500 0.000 0.410
C11 0.500 0.500 0.022
C12 0.500 0.500 0.647
C13 0.731 0.805 0.774
C14 0.743 0.696 0.268
C15 0.757 0.196 0.768
C16 0.769 0.305 0.274
N1 0.152 0.799 0.868
N2 0.184 0.193 0.881
N3 0.316 0.693 0.381
N4 0.348 0.299 0.368
N5 0.652 0.701 0.368
N6 0.684 0.307 0.381
N7 0.816 0.807 0.881
N8 0.848 0.201 0.868
O1 0.009 0.088 0.151
O2 0.018 0.413 0.906
O3 0.095 0.439 0.522
O4 0.098 0.059 0.520
O5 0.142 0.693 0.167
O6 0.163 0.315 0.167
O7 0.337 0.815 0.667
O8 0.358 0.193 0.667
O9 0.402 0.559 0.020
O10 0.405 0.939 0.022
O11 0.482 0.913 0.406
O12 0.491 0.588 0.651
O13 0.509 0.412 0.651
O14 0.518 0.087 0.406
O15 0.595 0.061 0.022
O16 0.598 0.441 0.020
O17 0.642 0.807 0.667
O18 0.663 0.185 0.667
O19 0.837 0.685 0.167
O20 0.858 0.307 0.167
O21 0.902 0.941 0.520
O22 0.905 0.561 0.522
O23 0.982 0.587 0.906
O24 0.991 0.912 0.151
```

No. 2
Crystalline NdNiAs at its relaxed geometry, computed with GGA-PBE.

The formation energy comes out at -1.0223 eV per atom. Its uncorrected energy is -18.27 eV/cell.

```
data_NdNiAs
_chemical_formula_sum 'Nd1 Ni1 As1'
_symmetry_space_group_name_H-M 'P 1'
_symmetry_Int_Tables_number 1
_cell_length_a 4.146
_cell_length_b 4.146
_cell_length_c 4.029
_cell_angle_alpha 90.00
_cell_angle_beta 90.00
_cell_angle_gamma 120.00
loop_
_symmetry_equiv_pos_as_xyz
'x,y,z'
loop_
_atom_site_label
_atom_site_fract_x
_atom_site_fract_y
_atom_site_fract_z
Nd1 0.000 0.000 0.000
Ni1 0.667 0.333 0.500
As1 0.333 0.667 0.500
```

No. 3
Crystalline Mg4Si6H6O17 at its relaxed geometry, computed with GGA-PBE.

The formation energy comes out at -1.9712 eV per atom. Its uncorrected energy is -802.27 eV/cell. As for the magnetization: 24.00 μB/cell. The value obtained for the MP2020-corrected energy is -6.32 eV per atom.

```
data_Mg4Si6H6O17
_chemical_formula_sum 'Mg16 Si24 H24 O68'
_symmetry_space_group_name_H-M 'P 1'
_symmetry_Int_Tables_number 1
_cell_length_a 5.284
_cell_length_b 13.623
_cell_length_c 27.996
_cell_angle_alpha 90.00
_cell_angle_beta 90.00
_cell_angle_gamma 90.00
loop_
_symmetry_equiv_pos_as_xyz
'x,y,z'
loop_
_atom_site_label
_atom_site_fract_x
_atom_site_fract_y
_atom_site_fract_z
Mg1 0.250 0.000 0.022
Mg2 0.250 0.000 0.153
Mg3 0.250 0.000 0.807
Mg4 0.250 0.000 0.914
Mg5 0.250 0.500 0.347
Mg6 0.250 0.500 0.478
Mg7 0.250 0.500 0.586
Mg8 0.250 0.500 0.693
Mg9 0.750 0.000 0.086
Mg10 0.750 0.000 0.193
Mg11 0.750 0.000 0.847
Mg12 0.750 0.000 0.978
Mg13 0.750 0.500 0.307
Mg14 0.750 0.500 0.414
Mg15 0.750 0.500 0.522
Mg16 0.750 0.500 0.653
Si1 0.061 0.205 0.196
Si2 0.061 0.295 0.304
Si3 0.069 0.204 0.860
Si4 0.069 0.296 0.640
Si5 0.074 0.204 0.972
Si6 0.074 0.296 0.528
Si7 0.426 0.704 0.528
Si8 0.426 0.796 0.972
Si9 0.431 0.704 0.640
Si10 0.431 0.796 0.860
Si11 0.439 0.705 0.304
Si12 0.439 0.795 0.196
Si13 0.561 0.205 0.804
Si14 0.561 0.295 0.696
Si15 0.569 0.204 0.140
Si16 0.569 0.296 0.360
Si17 0.574 0.204 0.028
Si18 0.574 0.296 0.472
Si19 0.926 0.704 0.472
Si20 0.926 0.796 0.028
Si21 0.931 0.704 0.360
Si22 0.931 0.796 0.140
Si23 0.939 0.705 0.696
Si24 0.939 0.795 0.804
H1 0.003 0.586 0.250
H2 0.003 0.914 0.250
H3 0.077 0.588 0.917
H4 0.077 0.912 0.583
H5 0.250 0.000 0.484
H6 0.250 0.000 0.671
H7 0.250 0.500 0.016
H8 0.250 0.500 0.829
H9 0.423 0.088 0.583
H10 0.423 0.412 0.917
H11 0.497 0.086 0.250
H12 0.497 0.414 0.250
H13 0.503 0.586 0.750
H14 0.503 0.914 0.750
H15 0.577 0.588 0.083
H16 0.577 0.912 0.417
H17 0.750 0.000 0.329
H18 0.750 0.000 0.516
H19 0.750 0.500 0.171
H20 0.750 0.500 0.984
H21 0.923 0.088 0.417
H22 0.923 0.412 0.083
H23 0.997 0.086 0.750
H24 0.997 0.414 0.750
O1 0.052 0.086 0.198
O2 0.052 0.414 0.302
O3 0.066 0.250 0.250
O4 0.071 0.241 0.916
O5 0.071 0.259 0.584
O6 0.089 0.084 0.858
O7 0.089 0.416 0.642
O8 0.092 0.083 0.972
O9 0.092 0.417 0.528
O10 0.159 0.046 0.087
O11 0.159 0.454 0.413
O12 0.176 0.745 0.500
O13 0.176 0.755 0.000
O14 0.187 0.742 0.333
O15 0.187 0.750 0.668
O16 0.187 0.750 0.832
O17 0.187 0.758 0.167
O18 0.313 0.242 0.167
O19 0.313 0.250 0.668
O20 0.313 0.250 0.832
O21 0.313 0.258 0.333
O22 0.324 0.245 0.000
O23 0.324 0.255 0.500
O24 0.341 0.546 0.413
O25 0.341 0.954 0.087
O26 0.408 0.583 0.528
O27 0.408 0.917 0.972
O28 0.411 0.584 0.642
O29 0.411 0.916 0.858
O30 0.429 0.741 0.584
O31 0.429 0.759 0.916
O32 0.434 0.750 0.250
O33 0.448 0.586 0.302
O34 0.448 0.914 0.198
O35 0.552 0.086 0.802
O36 0.552 0.414 0.698
O37 0.566 0.250 0.750
O38 0.571 0.241 0.084
O39 0.571 0.259 0.416
O40 0.589 0.084 0.142
O41 0.589 0.416 0.358
O42 0.592 0.083 0.028
O43 0.592 0.417 0.472
O44 0.659 0.046 0.913
O45 0.659 0.454 0.587
O46 0.676 0.745 0.500
O47 0.676 0.755 0.000
O48 0.687 0.742 0.667
O49 0.687 0.750 0.168
O50 0.687 0.750 0.332
O51 0.687 0.758 0.833
O52 0.813 0.242 0.833
O53 0.813 0.250 0.168
O54 0.813 0.250 0.332
O55 0.813 0.258 0.667
O56 0.824 0.245 0.000
O57 0.824 0.255 0.500
O58 0.841 0.546 0.587
O59 0.841 0.954 0.913
O60 0.908 0.583 0.472
O61 0.908 0.917 0.028
O62 0.911 0.584 0.358
O63 0.911 0.916 0.142
O64 0.929 0.741 0.416
O65 0.929 0.759 0.084
O66 0.934 0.750 0.750
O67 0.948 0.586 0.698
O68 0.948 0.914 0.802
```

No. 4
Crystalline RbNb4AgP2S20 at its relaxed geometry, computed with GGA-PBE.

The formation energy comes out at -0.9969 eV per atom. Its uncorrected energy is -155.63 eV/cell. As for the magnetization: 0.00 μB/cell. The value obtained for the MP2020-corrected energy is -5.92 eV per atom.

```
data_RbNb4AgP2S20
_chemical_formula_sum 'Rb1 Nb4 Ag1 P2 S20'
_symmetry_space_group_name_H-M 'P 1'
_symmetry_Int_Tables_number 1
_cell_length_a 7.408
_cell_length_b 7.538
_cell_length_c 13.038
_cell_angle_alpha 89.47
_cell_angle_beta 76.53
_cell_angle_gamma 87.91
loop_
_symmetry_equiv_pos_as_xyz
'x,y,z'
loop_
_atom_site_label
_atom_site_fract_x
_atom_site_fract_y
_atom_site_fract_z
Rb1 0.000 0.000 0.000
Nb1 0.442 0.432 0.665
Nb2 0.443 0.430 0.957
Nb3 0.443 0.566 0.166
Nb4 0.446 0.566 0.455
Ag1 0.947 0.998 0.559
P1 0.235 0.881 0.338
P2 0.650 0.117 0.783
S1 0.002 0.035 0.368
S2 0.167 0.577 0.610
S3 0.169 0.578 0.083
S4 0.192 0.607 0.344
S5 0.199 0.390 0.843
S6 0.232 0.329 0.129
S7 0.237 0.329 0.549
S8 0.316 0.633 0.828
S9 0.383 0.909 0.184
S10 0.393 0.907 0.446
S11 0.492 0.089 0.675
S12 0.506 0.086 0.938
S13 0.572 0.364 0.294
S14 0.651 0.668 0.571
S15 0.654 0.664 0.994
S16 0.688 0.608 0.278
S17 0.695 0.390 0.778
S18 0.716 0.416 0.041
S19 0.720 0.419 0.511
S20 0.884 0.961 0.752
```